[1]
Computed, not measured: a geometry-optimized Li17Co4O16 structure at the GGA+U level of DFT.

Space-group type: Pm, No. 6
Calculated total energy: -189.2 eV/f.u.
Energy of formation: -1.8021 eV/atom

Cell and atoms, written as POSCAR:
```
Li17Co4O16
1.0
7.4415 0.0000 0.0000
0.0000 6.6608 0.0000
-0.1698 0.0000 7.8914
Li Co O
17 4 16
Direct
0.0000 0.0000 0.0000
0.0105 0.5000 0.5045
0.2252 0.2560 0.1153
0.2252 0.7440 0.1153
0.2533 0.2346 0.7842
0.2533 0.7654 0.7842
0.2601 0.2477 0.4687
0.2601 0.7523 0.4687
0.5107 0.5000 0.7313
0.5115 0.0000 0.9164
0.5238 0.5000 0.3868
0.7418 0.2447 0.2932
0.7418 0.7553 0.2932
0.7648 0.2745 0.9444
0.7648 0.7255 0.9444
0.7952 0.2408 0.6277
0.7952 0.7592 0.6277
0.0289 0.5000 0.8325
0.4849 0.5000 0.0703
0.5319 0.0000 0.5802
0.9947 0.0000 0.3312
0.0475 0.2566 0.9310
0.0475 0.7434 0.9310
0.2078 0.0000 0.2318
0.2232 0.5000 0.6580
0.3057 0.0000 0.6529
0.3153 0.5000 0.2334
0.4625 0.2787 0.9418
0.4625 0.7213 0.9418
0.5592 0.2386 0.4772
0.5592 0.7614 0.4772
0.7013 0.5000 0.1749
0.7030 0.0000 0.7519
0.7845 0.5000 0.7489
0.8112 0.0000 0.1696
0.9697 0.2309 0.4450
0.9697 0.7691 0.4450
```

=====

[2]
Computed, not measured: a geometry-optimized Li3Co4O8 structure at the GGA+U level of DFT.

Space-group type: P-1, No. 2
Calculated total energy: -85.5 eV/f.u.
Energy of formation: -1.5851 eV/atom

Cell and atoms, written as POSCAR:
```
Li3Co4O8
1.0
5.7545 0.0000 0.0000
-2.8472 5.0187 0.0000
-2.8600 -1.6881 9.6763
Li Co O
6 8 16
Direct
0.0008 0.2524 0.2532
0.0053 0.2558 0.7499
0.4974 0.7449 0.2467
0.5026 0.2551 0.7533
0.9947 0.7442 0.2501
0.9992 0.7476 0.7468
0.0000 0.0000 0.0000
0.0000 0.0000 0.5000
0.0000 0.5000 0.0000
0.0000 0.5000 0.5000
0.5000 0.0000 0.0000
0.5000 0.0000 0.5000
0.5000 0.5000 0.0000
0.5000 0.5000 0.5000
0.2195 0.8578 0.6053
0.2225 0.3608 0.6054
0.2344 0.8616 0.1069
0.2364 0.6175 0.3865
0.2458 0.3848 0.1063
0.2565 0.6153 0.8953
0.2602 0.1285 0.3957
0.2677 0.1484 0.8866
0.7323 0.8516 0.1134
0.7398 0.8715 0.6043
0.7435 0.3847 0.1047
0.7542 0.6152 0.8937
0.7636 0.3825 0.6135
0.7656 0.1384 0.8931
0.7775 0.6392 0.3946
0.7805 0.1422 0.3947
```

=====

[3]
Computed, not measured: a geometry-optimized Li3Co4O8 structure at the GGA+U level of DFT.

Space-group type: P-1, No. 2
Calculated total energy: -84.4 eV/f.u.
Energy of formation: -1.5112 eV/atom

Cell and atoms, written as POSCAR:
```
Li3Co4O8
1.0
5.7170 0.0000 0.0000
2.8505 5.0676 0.0000
2.8505 1.6202 9.8149
Li Co O
6 8 16
Direct
0.2463 0.2507 0.2555
0.2467 0.2566 0.7476
0.2503 0.7449 0.2518
0.7497 0.2551 0.7482
0.7533 0.7434 0.2524
0.7537 0.7493 0.7445
0.0000 0.0000 0.0000
0.0000 0.0000 0.5000
0.0000 0.5000 0.0000
0.0000 0.5000 0.5000
0.5000 0.0000 0.0000
0.5000 0.0000 0.5000
0.5000 0.5000 0.0000
0.5000 0.5000 0.5000
0.1223 0.1460 0.6086
0.1249 0.6253 0.6089
0.1402 0.6066 0.1154
0.1426 0.1160 0.1044
0.3589 0.3743 0.3912
0.3647 0.8847 0.8963
0.3716 0.8705 0.3866
0.3833 0.3396 0.8924
0.6167 0.6604 0.1076
0.6284 0.1295 0.6134
0.6353 0.1153 0.1037
0.6411 0.6257 0.6088
0.8574 0.8840 0.8956
0.8598 0.3934 0.8846
0.8751 0.3747 0.3911
0.8777 0.8540 0.3914
```

=====

[4]
Computed, not measured: a geometry-optimized Li2CoO3 structure at the GGA+U level of DFT.

Space-group type: P-1, No. 2
Calculated total energy: -32.3 eV/f.u.
Energy of formation: -1.7102 eV/atom

Cell and atoms, written as POSCAR:
```
Li2CoO3
1.0
4.9113 0.0000 0.0000
-2.2139 4.4845 0.0000
-1.1605 -1.6973 4.7711
Li Co O
4 2 6
Direct
0.0000 0.0000 0.0000
0.1715 0.8433 0.4928
0.5000 0.5000 0.5000
0.8285 0.1567 0.5072
0.3368 0.6795 0.9908
0.6632 0.3205 0.0092
0.0462 0.4155 0.2270
0.2987 0.2865 0.7718
0.4183 0.0632 0.2292
0.5817 0.9368 0.7708
0.7013 0.7135 0.2282
0.9538 0.5845 0.7730
```

=====

[5]
Computed, not measured: a geometry-optimized Li8Co5O10 structure at the GGA+U level of DFT.

Space-group type: C2/m, No. 12
Calculated total energy: -123.1 eV/f.u.
Energy of formation: -1.6445 eV/atom

Cell and atoms, written as POSCAR:
```
Li8Co5O10
1.0
5.0331 -1.8127 0.0000
5.0331 1.8127 0.0000
-4.0000 0.0000 13.7402
Li Co O
8 5 10
Direct
0.2095 0.2095 0.0461
0.2102 0.2102 0.4408
0.2242 0.2242 0.8354
0.2270 0.2270 0.6583
0.7730 0.7730 0.3417
0.7758 0.7758 0.1646
0.7898 0.7898 0.5592
0.7905 0.7905 0.9539
0.4926 0.4926 0.2950
0.4988 0.4988 0.8975
0.5000 0.5000 0.5000
0.5012 0.5012 0.1025
0.5074 0.5074 0.7050
0.3580 0.3580 0.1663
0.3634 0.3634 0.3807
0.3644 0.3644 0.5681
0.3664 0.3664 0.9705
0.3726 0.3726 0.7758
0.6274 0.6274 0.2242
0.6336 0.6336 0.0295
0.6356 0.6356 0.4319
0.6366 0.6366 0.6193
0.6420 0.6420 0.8337
```

=====

[6]
Computed, not measured: a geometry-optimized Li2CoO3 structure at the GGA+U level of DFT.

Calculated total energy: -32.8 eV/f.u.
Energy of formation: -1.7812 eV/atom

Cell and atoms, written as POSCAR:
```
Li2CoO3
1.0
-3.4144 2.7338 2.2947
0.3469 -5.1861 6.6946
2.2688 3.6170 2.6844
Li Co O
8 4 12
Direct
0.5000 0.3334 0.5000
0.0000 0.8334 0.5000
0.5000 0.8333 0.0000
0.0000 0.3333 0.0000
0.5000 0.6719 0.5000
0.0000 0.1719 0.5000
0.5000 0.9948 0.5000
0.0000 0.4948 0.5000
0.0000 0.0034 0.0000
0.0000 0.6632 0.0000
0.5000 0.5035 0.0000
0.5000 0.1631 0.0000
0.7850 0.8333 0.2244
0.2849 0.3333 0.2244
0.2150 0.8333 0.7757
0.7151 0.3333 0.7755
0.7503 0.1515 0.2215
0.2502 0.6515 0.2215
0.2502 0.0151 0.2215
0.7502 0.5152 0.2215
0.2497 0.1515 0.7785
0.7498 0.6515 0.7785
0.7498 0.0151 0.7785
0.2498 0.5152 0.7785
```

=====

[7]
Computed, not measured: a geometry-optimized LiCo2O4 structure at the GGA+U level of DFT.

Space-group type: R3m, No. 160
Calculated total energy: -39.7 eV/f.u.
Energy of formation: -1.4022 eV/atom

Cell and atoms, written as POSCAR:
```
LiCo2O4
1.0
1.4072 0.8125 9.4240
-1.4072 0.8125 9.4240
0.0000 -1.6249 9.4240
Li Co O
1 2 4
Direct
0.0000 0.0000 0.0000
0.4161 0.4161 0.4161
0.9113 0.9113 0.9113
0.1139 0.1139 0.1139
0.2824 0.2824 0.2824
0.5468 0.5468 0.5468
0.7116 0.7116 0.7116
```

=====

[8]
Computed, not measured: a geometry-optimized Li2CoO3 structure at the GGA+U level of DFT.

Space-group type: C2/m, No. 12
Calculated total energy: -32.2 eV/f.u.
Energy of formation: -1.6868 eV/atom

Cell and atoms, written as POSCAR:
```
Li2CoO3
1.0
6.1367 -1.4874 0.0000
6.1367 1.4874 0.0000
-1.5434 0.0000 5.8038
Li Co O
4 2 6
Direct
0.0000 0.0000 0.0000
0.0000 0.0000 0.5000
0.3371 0.3371 0.6634
0.6629 0.6629 0.3366
0.3385 0.3385 0.1806
0.6615 0.6615 0.8194
0.1692 0.1692 0.6065
0.1787 0.1787 0.0725
0.4850 0.4850 0.2380
0.5150 0.5150 0.7620
0.8213 0.8213 0.9275
0.8308 0.8308 0.3935
```